[1]
VASP calculation (PBE with a Hubbard U) on an optimized crystal structure of MnP2O8.

Lattice parameters (Å, degrees): 6.5384 7.8468 9.6699 52.78 90.00 90.00
Positions (direct):
O (0.8086, 0.8067, 0.0736)
O (0.1914, 0.1933, 0.9264)
P (0.7185, 0.2698, 0.6308)
O (0.2847, 0.5126, 0.5344)
O (0.6281, 0.0760, 0.6561)
O (0.8719, 0.0760, 0.1561)
O (0.2153, 0.5126, 0.0344)
O (0.8193, 0.2278, 0.7885)
P (0.2185, 0.7302, 0.8692)
P (0.7815, 0.2698, 0.1308)
Mn (0.0000, 0.0000, 0.0000)
P (0.2815, 0.7302, 0.3692)
O (0.3719, 0.9240, 0.3439)
O (0.7847, 0.4874, 0.9656)
Mn (0.5000, 0.0000, 0.5000)
O (0.3086, 0.1933, 0.4264)
O (0.6914, 0.8067, 0.5736)
O (0.7153, 0.4874, 0.4656)
O (0.1281, 0.9240, 0.8439)
O (0.3193, 0.7722, 0.7115)
O (0.1807, 0.7722, 0.2115)
O (0.6807, 0.2278, 0.2885)

[2]
VASP calculation (PBE with a Hubbard U) on an optimized crystal structure of MnP3O9.

Lattice parameters (Å, degrees): 9.5286 9.5504 9.5896 106.77 106.19 111.68
Positions (direct):
O (0.2196, 0.9307, 0.2929)
O (0.6386, 0.1818, 0.0570)
P (0.9439, 0.2045, 0.8332)
O (0.7477, 0.6780, 0.5842)
O (0.4336, 0.9840, 0.7607)
O (0.0986, 0.1708, 0.8259)
O (0.3652, 0.6133, 0.6488)
O (0.8125, 0.8625, 0.9153)
O (0.4954, 0.8232, 0.4498)
P (0.0071, 0.3924, 0.6463)
O (0.1550, 0.7374, 0.5008)
P (0.5118, 0.1530, 0.9020)
Mn (0.2653, 0.7684, 0.7176)
O (0.3614, 0.8182, 0.9430)
P (0.5703, 0.3293, 0.6944)
P (0.4297, 0.6707, 0.3056)
O (0.1505, 0.3499, 0.6331)
O (0.0286, 0.7293, 0.9910)
O (0.0032, 0.3747, 0.8036)
O (0.5664, 0.0160, 0.2393)
O (0.5046, 0.1768, 0.5502)
O (0.5998, 0.3010, 0.8612)
O (0.9436, 0.4256, 0.3200)
Mn (0.1121, 0.2934, 0.2081)
O (0.2523, 0.3220, 0.4158)
O (0.7804, 0.0693, 0.7071)
P (0.8180, 0.9123, 0.0804)
O (0.9714, 0.2707, 0.0090)
O (0.9968, 0.6253, 0.1964)
O (0.4365, 0.3984, 0.7043)
O (0.0564, 0.5744, 0.6800)
P (0.9929, 0.6076, 0.3537)
O (0.8495, 0.6501, 0.3669)
O (0.3675, 0.1843, 0.9350)
P (0.6933, 0.5701, 0.4081)
O (0.1017, 0.9008, 0.8095)
O (0.7354, 0.4827, 0.7469)
O (0.5635, 0.6016, 0.2957)
P (0.0561, 0.7955, 0.1668)
O (0.1875, 0.1375, 0.0847)
O (0.2646, 0.5173, 0.2531)
O (0.6325, 0.8157, 0.0650)
P (0.3067, 0.4299, 0.5919)
P (0.4882, 0.8470, 0.0980)
Mn (0.8879, 0.7066, 0.7919)
O (0.8450, 0.2626, 0.4992)
O (0.9014, 0.8292, 0.1741)
O (0.6348, 0.3867, 0.3512)
Mn (0.7347, 0.2316, 0.2824)
O (0.4002, 0.6990, 0.1388)
O (0.8983, 0.0992, 0.1905)
P (0.1820, 0.0877, 0.9196)

no.,calculated total energy (eV per atom),excess energy over the best structure of this formula in the dataset (meV per atom)
1,-6.401,309
2,-7.230,59